Below is crystalline BaMg4Si3 at its relaxed geometry, with properties calculated at the PBE-GGA level.

theoretical density	2.87	g/cm3

Lattice parameters (Å, degrees): 4.626 4.626 8.618 90.00 90.00 90.00
Fractional positions:
1 Ba 0.000 0.000 0.000
2 Mg 0.000 0.500 0.318
3 Mg 0.000 0.500 0.682
4 Mg 0.500 0.000 0.318
5 Mg 0.500 0.000 0.682
6 Si 0.000 0.000 0.500
7 Si 0.500 0.500 0.143
8 Si 0.500 0.500 0.857


Below is crystalline HoErO3 at its relaxed geometry, with properties calculated at the PBE-GGA level.

theoretical density	8.24	g/cm3
total magnetization	0.00	μB/f.u.

Lattice parameters (Å, degrees): 4.246 4.246 4.246 90.00 90.00 90.00
Fractional positions:
1 Ho 0.000 0.000 0.000
2 Er 0.500 0.500 0.500
3 O 0.000 0.500 0.500
4 O 0.500 0.000 0.500
5 O 0.500 0.500 0.000


Below is crystalline Ca2MgN2 at its relaxed geometry, with properties calculated at the PBE-GGA level.

theoretical density	2.72	g/cm3
total magnetization	0.00	μB/f.u.

Lattice parameters (Å, degrees): 6.368 8.240 6.235 90.00 98.28 90.00
Fractional positions:
1 Ca 0.076 0.134 0.191
2 Ca 0.076 0.366 0.691
3 Ca 0.335 0.634 0.946
4 Ca 0.335 0.866 0.446
5 Ca 0.665 0.134 0.554
6 Ca 0.665 0.366 0.054
7 Ca 0.924 0.634 0.309
8 Ca 0.924 0.866 0.809
9 Mg 0.375 0.111 0.881
10 Mg 0.375 0.389 0.381
11 Mg 0.625 0.611 0.619
12 Mg 0.625 0.889 0.119
13 N 0.272 0.593 0.556
14 N 0.272 0.907 0.056
15 N 0.284 0.159 0.545
16 N 0.284 0.341 0.045
17 N 0.716 0.659 0.955
18 N 0.716 0.841 0.455
19 N 0.728 0.093 0.944
20 N 0.728 0.407 0.444


| no. | E_form (eV per atom) | raw total energy (eV per atom) |
| --- | --- | --- |
| 1 | -0.252 | -3.354 |
| 2 | -3.136 | -7.523 |
| 3 | -0.881 | -5.194 |